(1)
{
  "formula": "La2Mo3O12",
  "functional": "PBE with a Hubbard U",
  "state": "optimized geometry",
  "relative_energy_mev_per_atom": 0,
  "e_form_ev_per_atom": -2.654,
  "e_tot_ev_per_atom": -7.592,
  "rho_g_cm3": 4.7,
  "crystal_system": "monoclinic",
  "lattice": [[8.623, -6.061, 0.000], [8.623, 6.061, 0.000], [-5.141, 0.000, 15.492]],
  "species": ["La", "La", "La", "La", "La", "La", "La", "La", "La", "La", "La", "La", "Mo", "Mo", "Mo", "Mo", "Mo", "Mo", "Mo", "Mo", "Mo", "Mo", "Mo", "Mo", "Mo", "Mo", "Mo", "Mo", "Mo", "Mo", "O", "O", "O", "O", "O", "O", "O", "O", "O", "O", "O", "O", "O", "O", "O", "O", "O", "O", "O", "O", "O", "O", "O", "O", "O", "O", "O", "O", "O", "O", "O", "O", "O", "O", "O", "O", "O", "O", "O", "O", "O", "O", "O", "O", "O", "O", "O", "O", "O", "O", "O", "O", "O", "O", "O", "O", "O", "O", "O", "O", "O", "O", "O", "O", "O", "O", "O", "O", "O", "O", "O", "O"],
  "fractional_positions": [[0.118, 0.869, 0.911], [0.131, 0.882, 0.589], [0.205, 0.464, 0.197], [0.213, 0.456, 0.523], [0.456, 0.213, 0.023], [0.464, 0.205, 0.697], [0.536, 0.795, 0.303], [0.544, 0.787, 0.977], [0.787, 0.544, 0.477], [0.795, 0.536, 0.803], [0.869, 0.118, 0.411], [0.882, 0.131, 0.089], [0.033, 0.300, 0.310], [0.047, 0.295, 0.637], [0.049, 0.276, 0.966], [0.276, 0.049, 0.466], [0.295, 0.047, 0.137], [0.300, 0.033, 0.810], [0.364, 0.622, 0.079], [0.375, 0.625, 0.750], [0.378, 0.636, 0.421], [0.622, 0.364, 0.579], [0.625, 0.375, 0.250], [0.636, 0.378, 0.921], [0.700, 0.967, 0.190], [0.705, 0.953, 0.863], [0.724, 0.951, 0.534], [0.951, 0.724, 0.034], [0.953, 0.705, 0.363], [0.967, 0.700, 0.690], [0.001, 0.564, 0.594], [0.012, 0.578, 0.275], [0.031, 0.117, 0.983], [0.032, 0.143, 0.332], [0.037, 0.392, 0.067], [0.070, 0.130, 0.656], [0.076, 0.684, 0.464], [0.080, 0.654, 0.119], [0.099, 0.677, 0.785], [0.117, 0.031, 0.483], [0.130, 0.070, 0.156], [0.143, 0.032, 0.832], [0.186, 0.302, 0.282], [0.210, 0.308, 0.624], [0.218, 0.252, 0.948], [0.226, 0.684, 0.995], [0.251, 0.652, 0.648], [0.252, 0.218, 0.448], [0.261, 0.651, 0.322], [0.302, 0.186, 0.782], [0.308, 0.210, 0.124], [0.316, 0.774, 0.505], [0.316, 0.924, 0.036], [0.323, 0.901, 0.715], [0.346, 0.920, 0.381], [0.348, 0.749, 0.852], [0.349, 0.739, 0.178], [0.360, 0.457, 0.096], [0.373, 0.483, 0.448], [0.389, 0.460, 0.766], [0.392, 0.037, 0.567], [0.422, 0.988, 0.225], [0.436, 0.999, 0.906], [0.457, 0.360, 0.596], [0.460, 0.389, 0.266], [0.483, 0.373, 0.948], [0.517, 0.627, 0.052], [0.540, 0.611, 0.734], [0.543, 0.640, 0.404], [0.564, 0.001, 0.094], [0.578, 0.012, 0.775], [0.608, 0.963, 0.433], [0.611, 0.540, 0.234], [0.627, 0.517, 0.552], [0.640, 0.543, 0.904], [0.651, 0.261, 0.822], [0.652, 0.251, 0.148], [0.654, 0.080, 0.619], [0.677, 0.099, 0.285], [0.684, 0.076, 0.964], [0.684, 0.226, 0.495], [0.692, 0.790, 0.876], [0.698, 0.814, 0.218], [0.739, 0.349, 0.678], [0.748, 0.782, 0.552], [0.749, 0.348, 0.352], [0.774, 0.316, 0.005], [0.782, 0.748, 0.052], [0.790, 0.692, 0.376], [0.814, 0.698, 0.718], [0.857, 0.968, 0.168], [0.870, 0.930, 0.844], [0.883, 0.969, 0.517], [0.901, 0.323, 0.215], [0.920, 0.346, 0.881], [0.924, 0.316, 0.536], [0.930, 0.870, 0.344], [0.963, 0.608, 0.933], [0.968, 0.857, 0.668], [0.969, 0.883, 0.017], [0.988, 0.422, 0.725], [0.999, 0.436, 0.406]]
}

(2)
{
  "formula": "La5Mo6O21",
  "functional": "PBE with a Hubbard U",
  "state": "optimized geometry",
  "e_form_ev_per_atom": -2.746,
  "e_tot_ev_per_atom": -7.746,
  "rho_g_cm3": 6.2,
  "crystal_system": "orthorhombic",
  "lattice": [[5.910, 0.000, 0.000], [0.000, 11.337, 0.000], [0.000, 0.000, 25.778]],
  "species": ["La", "La", "La", "La", "La", "La", "La", "La", "La", "La", "La", "La", "La", "La", "La", "La", "La", "La", "La", "La", "Mo", "Mo", "Mo", "Mo", "Mo", "Mo", "Mo", "Mo", "Mo", "Mo", "Mo", "Mo", "Mo", "Mo", "Mo", "Mo", "Mo", "Mo", "Mo", "Mo", "Mo", "Mo", "Mo", "Mo", "O", "O", "O", "O", "O", "O", "O", "O", "O", "O", "O", "O", "O", "O", "O", "O", "O", "O", "O", "O", "O", "O", "O", "O", "O", "O", "O", "O", "O", "O", "O", "O", "O", "O", "O", "O", "O", "O", "O", "O", "O", "O", "O", "O", "O", "O", "O", "O", "O", "O", "O", "O", "O", "O", "O", "O", "O", "O", "O", "O", "O", "O", "O", "O", "O", "O", "O", "O", "O", "O", "O", "O", "O", "O", "O", "O", "O", "O", "O", "O", "O", "O", "O", "O"],
  "fractional_positions": [[0.222, 0.186, 0.449], [0.240, 0.932, 0.314], [0.243, 0.562, 0.316], [0.247, 0.525, 0.469], [0.248, 0.779, 0.600], [0.252, 0.221, 0.100], [0.253, 0.475, 0.969], [0.257, 0.438, 0.816], [0.260, 0.068, 0.814], [0.278, 0.814, 0.949], [0.722, 0.314, 0.551], [0.740, 0.568, 0.686], [0.743, 0.938, 0.684], [0.747, 0.975, 0.531], [0.748, 0.721, 0.400], [0.752, 0.279, 0.900], [0.753, 0.025, 0.031], [0.757, 0.062, 0.184], [0.760, 0.432, 0.186], [0.778, 0.686, 0.051], [0.002, 0.249, 0.311], [0.006, 0.752, 0.816], [0.237, 0.699, 0.722], [0.239, 0.075, 0.581], [0.243, 0.838, 0.461], [0.247, 0.526, 0.105], [0.253, 0.474, 0.605], [0.257, 0.162, 0.961], [0.261, 0.925, 0.081], [0.263, 0.301, 0.222], [0.494, 0.248, 0.316], [0.498, 0.751, 0.811], [0.502, 0.251, 0.689], [0.506, 0.748, 0.184], [0.737, 0.801, 0.278], [0.739, 0.425, 0.419], [0.743, 0.662, 0.539], [0.747, 0.974, 0.895], [0.753, 0.026, 0.395], [0.757, 0.338, 0.039], [0.761, 0.575, 0.919], [0.763, 0.199, 0.778], [0.994, 0.252, 0.684], [0.998, 0.749, 0.189], [0.008, 0.266, 0.820], [0.010, 0.399, 0.262], [0.012, 0.167, 0.545], [0.012, 0.236, 0.178], [0.012, 0.600, 0.764], [0.014, 0.040, 0.105], [0.014, 0.112, 0.361], [0.018, 0.855, 0.036], [0.022, 0.887, 0.874], [0.027, 0.972, 0.614], [0.049, 0.584, 0.560], [0.052, 0.911, 0.406], [0.055, 0.254, 0.018], [0.168, 0.602, 0.045], [0.181, 0.290, 0.920], [0.193, 0.956, 0.516], [0.214, 0.569, 0.666], [0.237, 0.851, 0.773], [0.244, 0.327, 0.356], [0.249, 0.824, 0.143], [0.250, 0.327, 0.727], [0.250, 0.673, 0.227], [0.251, 0.176, 0.643], [0.256, 0.673, 0.856], [0.263, 0.149, 0.273], [0.286, 0.431, 0.166], [0.307, 0.044, 0.016], [0.319, 0.710, 0.420], [0.332, 0.398, 0.545], [0.445, 0.746, 0.518], [0.448, 0.089, 0.906], [0.451, 0.416, 0.060], [0.473, 0.028, 0.114], [0.478, 0.113, 0.374], [0.482, 0.145, 0.536], [0.486, 0.888, 0.861], [0.486, 0.960, 0.605], [0.488, 0.400, 0.264], [0.488, 0.764, 0.678], [0.488, 0.833, 0.045], [0.490, 0.601, 0.762], [0.492, 0.734, 0.320], [0.508, 0.234, 0.180], [0.510, 0.101, 0.738], [0.512, 0.264, 0.822], [0.512, 0.333, 0.455], [0.512, 0.900, 0.236], [0.514, 0.388, 0.639], [0.514, 0.460, 0.895], [0.518, 0.645, 0.964], [0.522, 0.613, 0.126], [0.527, 0.528, 0.386], [0.549, 0.916, 0.440], [0.552, 0.589, 0.594], [0.555, 0.246, 0.982], [0.668, 0.898, 0.955], [0.681, 0.210, 0.080], [0.693, 0.544, 0.484], [0.714, 0.931, 0.334], [0.737, 0.649, 0.227], [0.744, 0.173, 0.644], [0.749, 0.676, 0.857], [0.750, 0.173, 0.273], [0.750, 0.827, 0.773], [0.751, 0.324, 0.357], [0.756, 0.827, 0.144], [0.763, 0.351, 0.727], [0.786, 0.069, 0.834], [0.807, 0.456, 0.984], [0.819, 0.790, 0.580], [0.832, 0.102, 0.455], [0.945, 0.754, 0.482], [0.948, 0.411, 0.094], [0.951, 0.084, 0.940], [0.973, 0.472, 0.886], [0.978, 0.387, 0.626], [0.982, 0.355, 0.464], [0.986, 0.540, 0.395], [0.986, 0.612, 0.139], [0.988, 0.100, 0.736], [0.988, 0.667, 0.955], [0.988, 0.736, 0.322], [0.990, 0.899, 0.238], [0.992, 0.766, 0.680]]
}